Record 1
## TmGaPd2 (PBE)

Data for a geometry-optimized TmGaPd2 structure.

## Properties
magnetization	0.00	μB per formula unit
E	-21.27	eV for the cell shown

Cell lengths 4.6444, 4.6444, 4.6444 Å; angles 60.00, 60.00, 60.00 degrees
With the nearest neighbours (Å) after each atom.
Fractional coordinates of all 4 atoms:
Tm1 0.0000 0.0000 0.0000  8 Pd 2.84
Ga1 0.5000 0.5000 0.5000  8 Pd 2.84
Pd1 0.2500 0.2500 0.2500  4 Tm 2.84, 4 Ga 2.84
Pd2 0.7500 0.7500 0.7500  4 Tm 2.84, 4 Ga 2.84

Record 2
## CeSe2 (PBE)

Data for a geometry-optimized CeSe2 structure.

## Properties
magnetization	0.00	μB per formula unit
E	-259.03	eV for the cell shown

Cell lengths 14.9394, 14.9394, 13.7602 Å; angles 90.00, 90.00, 90.00 degrees
With the nearest neighbours (Å) after each atom.
Fractional coordinates of all 48 atoms:
Ce1 0.0297 0.6979 0.1882  4 Se 2.72
Ce2 0.0297 0.8021 0.8118  4 Se 2.72
Ce3 0.1979 0.5297 0.6882  4 Se 2.72
Ce4 0.1979 0.9703 0.3118  4 Se 2.72
Ce5 0.3021 0.5297 0.3118  4 Se 2.72
Ce6 0.3021 0.9703 0.6882  4 Se 2.72
Ce7 0.4703 0.6979 0.8118  4 Se 2.72
Ce8 0.4703 0.8021 0.1882  4 Se 2.72
Ce9 0.5297 0.1979 0.8118  4 Se 2.72
Ce10 0.5297 0.3021 0.1882  4 Se 2.72
Ce11 0.6979 0.0297 0.3118  4 Se 2.72
Ce12 0.6979 0.4703 0.6882  4 Se 2.72
Ce13 0.8021 0.0297 0.6882  4 Se 2.72
Ce14 0.8021 0.4703 0.3118  4 Se 2.72
Ce15 0.9703 0.1979 0.1882  4 Se 2.72
Ce16 0.9703 0.3021 0.8118  4 Se 2.72
Se1 0.0105 0.7500 0.0000  2 Ce 2.72
Se2 0.0718 0.6608 0.6953  2 Ce 2.72
Se3 0.0718 0.8392 0.3047  2 Ce 2.72
Se4 0.1292 0.1292 0.2500  2 Ce 2.72
Se5 0.1292 0.3708 0.7500  2 Ce 2.72
Se6 0.1608 0.5718 0.1953  2 Ce 2.72
Se7 0.1608 0.9282 0.8047  2 Ce 2.72
Se8 0.2500 0.5105 0.5000  2 Ce 2.72
Se9 0.2500 0.9895 0.5000  2 Ce 2.72
Se10 0.3392 0.5718 0.8047  2 Ce 2.72
Se11 0.3392 0.9282 0.1953  2 Ce 2.72
Se12 0.3708 0.1292 0.7500  2 Ce 2.72
Se13 0.3708 0.3708 0.2500  2 Ce 2.72
Se14 0.4282 0.6608 0.3047  2 Ce 2.72
Se15 0.4282 0.8392 0.6953  2 Ce 2.72
Se16 0.4895 0.7500 0.0000  2 Ce 2.72
Se17 0.5105 0.2500 0.0000  2 Ce 2.72
Se18 0.5718 0.1608 0.3047  2 Ce 2.72
Se19 0.5718 0.3392 0.6953  2 Ce 2.72
Se20 0.6292 0.6292 0.7500  2 Ce 2.72
Se21 0.6292 0.8708 0.2500  2 Ce 2.72
Se22 0.6608 0.0718 0.8047  2 Ce 2.72
Se23 0.6608 0.4282 0.1953  2 Ce 2.72
Se24 0.7500 0.0105 0.5000  2 Ce 2.72
Se25 0.7500 0.4895 0.5000  2 Ce 2.72
Se26 0.8392 0.0718 0.1953  2 Ce 2.72
Se27 0.8392 0.4282 0.8047  2 Ce 2.72
Se28 0.8708 0.6292 0.2500  2 Ce 2.72
Se29 0.8708 0.8708 0.7500  2 Ce 2.72
Se30 0.9282 0.1608 0.6953  2 Ce 2.72
Se31 0.9282 0.3392 0.3047  2 Ce 2.72
Se32 0.9895 0.2500 0.0000  2 Ce 2.72

Record 3
## NdMgSi2 (PBE)

Data for a geometry-optimized NdMgSi2 structure.

## Properties
E	-77.23	eV for the cell shown

Cell lengths 18.6558, 18.6558, 18.6558 Å; angles 166.89, 166.89, 18.59 degrees
With the nearest neighbours (Å) after each atom.
Fractional coordinates of all 16 atoms:
Nd1 0.2973 0.5473 0.7500  10 Si 3.11-3.25
Nd2 0.4527 0.7027 0.7500  10 Si 3.11-3.25
Nd3 0.5473 0.2973 0.2500  10 Si 3.11-3.25
Nd4 0.7027 0.4527 0.2500  10 Si 3.11-3.25
Mg1 0.1250 0.3750 0.7500  4 Si 2.77, 4 Mg 3.01
Mg2 0.3750 0.1250 0.2500  4 Si 2.77, 4 Mg 3.01
Mg3 0.6250 0.8750 0.7500  4 Si 2.77, 4 Mg 3.01
Mg4 0.8750 0.6250 0.2500  4 Si 2.77, 4 Mg 3.01
Si1 0.0142 0.7642 0.2500  3 Si 2.32-2.37
Si2 0.0771 0.8271 0.2500  1 Si 2.32
Si3 0.1729 0.9229 0.2500  1 Si 2.32
Si4 0.2358 0.9858 0.2500  3 Si 2.32-2.37
Si5 0.7642 0.0142 0.7500  3 Si 2.32-2.37
Si6 0.8271 0.0771 0.7500  1 Si 2.32
Si7 0.9229 0.1729 0.7500  1 Si 2.32
Si8 0.9858 0.2358 0.7500  3 Si 2.32-2.37

Record 4
## NaCa3ScZn3Si8O24 (PBE)

Data for a geometry-optimized NaCa3ScZn3Si8O24 structure.

## Properties
magnetization	0.00	μB per formula unit
E	-287.28	eV for the cell shown

Cell lengths 5.3321, 9.0971, 9.8985 Å; angles 90.00, 104.99, 90.00 degrees
With the nearest neighbours (Å) after each atom.
Fractional coordinates of all 40 atoms:
Na1 0.0000 0.0000 0.0000  6 O 2.41-2.60
Ca1 0.0000 0.9005 0.5000  4 O 2.34-2.35
Ca2 0.5000 0.3934 0.0000  6 O 2.36-2.56
Ca3 0.5000 0.4922 0.5000  4 O 2.35-2.36
Sc1 0.5000 0.7998 0.0000  6 O 2.03-2.23
Zn1 0.0000 0.2909 0.5000  6 O 2.10-2.20
Zn2 0.0000 0.5970 0.0000  6 O 2.07-2.21
Zn3 0.5000 0.1013 0.5000  6 O 2.10-2.20
Si1 0.1942 0.2866 0.2124  4 O 1.61-1.69
Si2 0.1947 0.6045 0.7122  4 O 1.60-1.70
Si3 0.3036 0.1061 0.7869  4 O 1.62-1.69
Si4 0.3043 0.7886 0.2871  4 O 1.60-1.70
Si5 0.6964 0.1061 0.2131  4 O 1.62-1.69
Si6 0.6957 0.7886 0.7129  4 O 1.60-1.70
Si7 0.8053 0.6045 0.2878  4 O 1.60-1.70
Si8 0.8058 0.2866 0.7876  4 O 1.61-1.69
O1 0.0995 0.6799 0.3494  2 Si 1.68-1.70
O2 0.1024 0.2145 0.8488  2 Si 1.67-1.69
O3 0.2103 0.4432 0.1387  1 Si 1.61
O4 0.2111 0.4489 0.6388  1 Si 1.60
O5 0.2208 0.1065 0.6168  1 Si 1.63
O6 0.2252 0.7807 0.1174  1 Si 1.62
O7 0.2782 0.2852 0.3830  1 Si 1.63
O8 0.2815 0.6104 0.8829  1 Si 1.63
O9 0.2887 0.9434 0.3618  1 Si 1.60
O10 0.2975 0.9479 0.8600  1 Si 1.62
O11 0.3994 0.7130 0.6500  2 Si 1.69-1.70
O12 0.4039 0.1824 0.1510  2 Si 1.67-1.69
O13 0.5961 0.1824 0.8490  2 Si 1.67-1.69
O14 0.6006 0.7130 0.3500  2 Si 1.69-1.70
O15 0.7025 0.9479 0.1400  1 Si 1.62
O16 0.7113 0.9434 0.6382  1 Si 1.60
O17 0.7185 0.6104 0.1171  1 Si 1.63
O18 0.7218 0.2852 0.6170  1 Si 1.63
O19 0.7748 0.7807 0.8826  1 Si 1.62
O20 0.7792 0.1065 0.3832  1 Si 1.63
O21 0.7889 0.4489 0.3612  1 Si 1.60
O22 0.7897 0.4432 0.8613  1 Si 1.61
O23 0.8976 0.2145 0.1512  2 Si 1.67-1.69
O24 0.9005 0.6799 0.6506  2 Si 1.68-1.70

Record 5
## Lu4Ge8Pd (PBE)

Data for a geometry-optimized Lu4Ge8Pd structure.

## Properties
magnetization	0.00	μB per formula unit
E	-67.79	eV for the cell shown

Cell lengths 3.9298, 4.0500, 16.4216 Å; angles 90.00, 90.00, 90.00 degrees
With the nearest neighbours (Å) after each atom.
Fractional coordinates of all 13 atoms:
Lu1 0.0000 0.0000 0.0000  10 Ge 2.90-3.09
Lu2 0.0000 0.5000 0.4821  10 Ge 2.93-3.21
Lu3 0.5000 0.0000 0.7886  4 Ge 3.05, 4 Pd 3.09
Lu4 0.5000 0.5000 0.2829  10 Ge 2.93-3.21
Ge1 0.0000 0.0000 0.3307  2 Ge 2.61
Ge2 0.0000 0.0000 0.6158  2 Pd 2.57, 4 Ge 2.82
Ge3 0.0000 0.5000 0.1383  4 Ge 2.82, 4 Lu 3.04-3.08
Ge4 0.0000 0.5000 0.8597  1 Pd 2.42, 2 Ge 2.56
Ge5 0.5000 0.0000 0.1453  4 Ge 2.82, 4 Lu 3.04-3.09
Ge6 0.5000 0.0000 0.4349  2 Ge 2.61
Ge7 0.5000 0.5000 0.6152  2 Pd 2.53, 4 Ge 2.82
Ge8 0.5000 0.5000 0.9598  2 Ge 2.56
Pd1 0.0000 0.5000 0.7121  5 Ge 2.42-2.57

Record 6
## YAl2Co (PBE)

Data for a geometry-optimized YAl2Co structure.

## Properties
E	-46.48	eV for the cell shown

Cell lengths 5.4316, 5.4316, 7.0211 Å; angles 90.00, 90.00, 136.44 degrees
With the nearest neighbours (Å) after each atom.
Fractional coordinates of all 8 atoms:
Y1 0.0593 0.9407 0.7500  3 Co 2.78-3.03
Y2 0.9407 0.0593 0.2500  3 Co 2.78-3.03
Al1 0.3382 0.6618 0.5564  3 Co 2.48-2.49, 1 Al 2.72
Al2 0.3382 0.6618 0.9436  3 Co 2.48-2.49, 1 Al 2.72
Al3 0.6618 0.3382 0.0564  3 Co 2.48-2.49, 1 Al 2.72
Al4 0.6618 0.3382 0.4436  3 Co 2.48-2.49, 1 Al 2.72
Co1 0.2167 0.7833 0.2500  6 Al 2.48-2.49
Co2 0.7833 0.2167 0.7500  6 Al 2.48-2.49

Question: The lowest E belongs to which entry?
Answer: NaCa3ScZn3Si8O24